Arrangement A

{
  "formula": "KMg6Ti",
  "functional": "PBE-GGA",
  "state": "optimized geometry",
  "lattice_angstrom": [[3.373, -5.629, 0.000], [3.373, 5.629, 0.000], [0.000, 0.000, 5.263]],
  "species": ["K", "Mg", "Mg", "Mg", "Mg", "Mg", "Mg", "Ti"],
  "fractional_positions": [[0.154, 0.846, 0.000], [0.821, 0.655, 0.500], [0.345, 0.179, 0.500], [0.839, 0.161, 0.500], [0.637, 0.819, 0.000], [0.181, 0.363, 0.000], [0.667, 0.333, 0.000], [0.356, 0.644, 0.500]]
}

Arrangement B

{
  "formula": "KMg6Ti",
  "functional": "PBE-GGA",
  "state": "optimized geometry",
  "lattice_angstrom": [[-5.905, 2.469, 2.023], [-2.111, -6.212, 1.419], [1.616, 0.413, 4.213]],
  "species": ["K", "Mg", "Mg", "Mg", "Mg", "Mg", "Mg", "Ti"],
  "fractional_positions": [[0.000, 0.000, 0.500], [0.500, 0.000, 0.500], [0.000, 0.500, 0.500], [0.279, 0.721, 0.000], [0.721, 0.279, 0.000], [0.279, 0.279, 0.000], [0.721, 0.721, 0.000], [0.500, 0.500, 0.500]]
}

Relative energies, unit kJ/mol of atoms: arrangement A 8.6; arrangement B 0.0

Arrangement A

{
  "formula": "KMg6V",
  "functional": "PBE-GGA",
  "state": "optimized geometry",
  "lattice_angstrom": [[-4.614, 2.005, -1.632], [0.786, -2.933, -5.827], [-5.429, -9.285, 3.941]],
  "species": ["K", "K", "Mg", "Mg", "Mg", "Mg", "Mg", "Mg", "Mg", "Mg", "Mg", "Mg", "Mg", "Mg", "V", "V"],
  "fractional_positions": [[0.500, 0.500, 0.163], [0.500, 0.000, 0.663], [0.000, 0.765, 0.078], [0.000, 0.235, 0.078], [0.000, 0.000, 0.334], [0.500, 0.263, 0.412], [0.500, 0.737, 0.412], [0.500, 0.000, 0.169], [0.000, 0.265, 0.578], [0.000, 0.735, 0.578], [0.000, 0.500, 0.834], [0.500, 0.763, 0.912], [0.500, 0.237, 0.912], [0.500, 0.500, 0.669], [0.000, 0.500, 0.353], [0.000, 0.000, 0.853]]
}

Arrangement B

{
  "formula": "KMg6V",
  "functional": "PBE-GGA",
  "state": "optimized geometry",
  "lattice_angstrom": [[7.675, 0.000, 0.000], [0.000, 7.675, 0.000], [0.000, 0.000, 3.456]],
  "species": ["K", "Mg", "Mg", "Mg", "Mg", "Mg", "Mg", "V"],
  "fractional_positions": [[0.500, 0.500, 0.500], [0.000, 0.500, 0.500], [0.500, 0.000, 0.500], [0.789, 0.211, 0.000], [0.211, 0.789, 0.000], [0.789, 0.789, 0.000], [0.211, 0.211, 0.000], [0.000, 0.000, 0.500]]
}

Relative energies, unit kJ/mol of atoms: arrangement A 10.3; arrangement B 0.0

Arrangement A

{
  "formula": "KMg14W",
  "functional": "PBE-GGA",
  "state": "optimized geometry",
  "lattice_angstrom": [[6.462, 0.000, 0.000], [-3.231, 5.596, 0.000], [0.000, 0.000, 10.294]],
  "species": ["K", "Mg", "Mg", "Mg", "Mg", "Mg", "Mg", "Mg", "Mg", "Mg", "Mg", "Mg", "Mg", "Mg", "Mg", "W"],
  "fractional_positions": [[0.167, 0.333, 0.125], [0.177, 0.839, 0.125], [0.160, 0.830, 0.625], [0.661, 0.323, 0.125], [0.670, 0.340, 0.625], [0.661, 0.839, 0.125], [0.670, 0.830, 0.625], [0.331, 0.169, 0.399], [0.331, 0.169, 0.851], [0.331, 0.661, 0.399], [0.331, 0.661, 0.851], [0.839, 0.169, 0.399], [0.839, 0.169, 0.851], [0.833, 0.667, 0.369], [0.833, 0.667, 0.881], [0.167, 0.333, 0.625]]
}

Arrangement B

{
  "formula": "KMg14W",
  "functional": "PBE-GGA",
  "state": "optimized geometry",
  "lattice_angstrom": [[6.405, -0.131, 0.000], [-3.316, 5.743, 0.000], [0.000, 0.000, 10.232]],
  "species": ["K", "Mg", "Mg", "Mg", "Mg", "Mg", "Mg", "Mg", "Mg", "Mg", "Mg", "Mg", "Mg", "Mg", "Mg", "W"],
  "fractional_positions": [[0.164, 0.332, 0.125], [0.173, 0.336, 0.625], [0.168, 0.834, 0.625], [0.663, 0.327, 0.125], [0.667, 0.340, 0.625], [0.663, 0.836, 0.125], [0.667, 0.827, 0.625], [0.328, 0.146, 0.373], [0.328, 0.146, 0.877], [0.328, 0.683, 0.373], [0.328, 0.683, 0.877], [0.819, 0.160, 0.389], [0.819, 0.160, 0.861], [0.845, 0.672, 0.359], [0.845, 0.672, 0.891], [0.194, 0.847, 0.125]]
}

Relative energies, unit kJ/mol of atoms: arrangement A 0.0; arrangement B 2.4

Arrangement A

{
  "formula": "KYMg6",
  "functional": "PBE-GGA",
  "state": "optimized geometry",
  "lattice_angstrom": [[5.336, 0.000, 0.000], [0.000, 7.199, 0.000], [0.000, 0.000, 11.688]],
  "species": ["K", "K", "Y", "Y", "Mg", "Mg", "Mg", "Mg", "Mg", "Mg", "Mg", "Mg", "Mg", "Mg", "Mg", "Mg"],
  "fractional_positions": [[0.500, 0.500, 0.832], [0.500, 0.000, 0.332], [0.500, 0.500, 0.343], [0.500, 0.000, 0.843], [0.500, 0.259, 0.082], [0.500, 0.741, 0.082], [0.000, 0.235, 0.925], [0.000, 0.765, 0.925], [0.000, 0.500, 0.164], [0.000, 0.500, 0.647], [0.500, 0.759, 0.582], [0.500, 0.241, 0.582], [0.000, 0.735, 0.425], [0.000, 0.265, 0.425], [0.000, 0.000, 0.664], [0.000, 0.000, 0.147]]
}

Arrangement B

{
  "formula": "KYMg6",
  "functional": "PBE-GGA",
  "state": "optimized geometry",
  "lattice_angstrom": [[-5.251, -0.030, -1.252], [0.897, -5.887, -3.621], [-2.271, -6.294, 9.670]],
  "species": ["K", "K", "Y", "Y", "Mg", "Mg", "Mg", "Mg", "Mg", "Mg", "Mg", "Mg", "Mg", "Mg", "Mg", "Mg"],
  "fractional_positions": [[0.500, 0.500, 0.150], [0.500, 0.000, 0.650], [0.000, 0.500, 0.347], [0.000, 0.000, 0.847], [0.000, 0.235, 0.086], [0.000, 0.765, 0.086], [0.000, 0.500, 0.844], [0.500, 0.243, 0.911], [0.500, 0.757, 0.911], [0.500, 0.500, 0.666], [0.000, 0.735, 0.586], [0.000, 0.265, 0.586], [0.000, 0.000, 0.344], [0.500, 0.743, 0.411], [0.500, 0.257, 0.411], [0.500, 0.000, 0.166]]
}

Relative energies, unit kJ/mol of atoms: arrangement A 0.9; arrangement B 0.0

Arrangement A

{
  "formula": "K3Mo",
  "functional": "PBE-GGA",
  "state": "optimized geometry",
  "lattice_angstrom": [[6.063, -1.795, -1.668], [3.072, -4.679, 3.381], [1.044, -5.852, -2.724]],
  "species": ["K", "K", "K", "Mo"],
  "fractional_positions": [[0.250, 0.250, 0.250], [0.750, 0.750, 0.750], [0.500, 0.500, 0.500], [0.000, 0.000, 0.000]]
}

Arrangement B

{
  "formula": "K3Mo",
  "functional": "PBE-GGA",
  "state": "optimized geometry",
  "lattice_angstrom": [[-1.874, 3.026, 4.685], [-5.561, -0.634, -1.815], [-0.428, -5.006, 3.062]],
  "species": ["K", "K", "K", "Mo"],
  "fractional_positions": [[0.000, 0.500, 0.500], [0.500, 0.000, 0.500], [0.500, 0.500, 0.000], [0.000, 0.000, 0.000]]
}

Relative energies, unit kJ/mol of atoms: arrangement A 0.0; arrangement B 1.5

Arrangement A

{
  "formula": "KPbN",
  "functional": "PBE-GGA",
  "state": "optimized geometry",
  "lattice_angstrom": [[1.258, -2.595, -2.201], [0.361, -3.396, 1.224], [-5.776, -1.284, -1.813]],
  "species": ["K", "Pb", "N"],
  "fractional_positions": [[0.760, 0.260, 0.013], [0.425, 0.925, 0.483], [0.092, 0.592, 0.297]]
}

Arrangement B

{
  "formula": "KPbN",
  "functional": "PBE-GGA",
  "state": "optimized geometry",
  "lattice_angstrom": [[-3.882, -0.702, -3.312], [-4.995, -5.314, -1.305], [-2.478, 1.984, 1.407]],
  "species": ["K", "Pb", "N"],
  "fractional_positions": [[0.876, 0.062, 0.970], [0.869, 0.566, 0.281], [0.273, 0.363, 0.659]]
}

Arrangement C

{
  "formula": "KPbN",
  "functional": "PBE-GGA",
  "state": "optimized geometry",
  "lattice_angstrom": [[12.780, 0.000, 0.000], [0.000, 3.582, 0.000], [0.000, 0.000, 6.775]],
  "species": ["K", "K", "K", "K", "Pb", "Pb", "Pb", "Pb", "N", "N", "N", "N"],
  "fractional_positions": [[0.621, 0.250, 0.003], [0.121, 0.250, 0.497], [0.379, 0.750, 0.997], [0.879, 0.750, 0.503], [0.609, 0.250, 0.517], [0.109, 0.250, 0.983], [0.391, 0.750, 0.483], [0.891, 0.750, 0.017], [0.963, 0.250, 0.195], [0.463, 0.250, 0.305], [0.037, 0.750, 0.805], [0.537, 0.750, 0.695]]
}

Relative energies, unit kJ/mol of atoms: arrangement A 0.0; arrangement B 17.2; arrangement C 6.3

Arrangement A

{
  "formula": "K7NaTe4O32",
  "functional": "PBE-GGA",
  "state": "optimized geometry",
  "lattice_angstrom": [[7.790, 3.928, 7.998], [-1.375, 11.414, -2.814], [-4.974, -9.501, 5.008]],
  "species": ["K", "K", "K", "K", "K", "K", "K", "Na", "Te", "Te", "Te", "Te", "O", "O", "O", "O", "O", "O", "O", "O", "O", "O", "O", "O", "O", "O", "O", "O", "O", "O", "O", "O", "O", "O", "O", "O", "O", "O", "O", "O", "O", "O", "O", "O"],
  "fractional_positions": [[0.696, 0.196, 0.500], [0.304, 0.804, 0.500], [0.866, 0.366, 0.500], [0.134, 0.634, 0.500], [0.734, 0.500, 0.234], [0.266, 0.500, 0.766], [0.500, 0.000, 0.500], [0.000, 0.000, 0.000], [0.660, 0.770, 0.890], [0.120, 0.230, 0.890], [0.880, 0.770, 0.110], [0.340, 0.230, 0.110], [0.701, 0.701, 0.000], [0.299, 0.299, 0.000], [0.850, 0.850, 0.000], [0.150, 0.150, 0.000], [0.495, 0.691, 0.804], [0.112, 0.309, 0.804], [0.888, 0.691, 0.196], [0.505, 0.309, 0.196], [0.618, 0.919, 0.698], [0.779, 0.081, 0.698], [0.221, 0.919, 0.302], [0.382, 0.081, 0.302], [0.683, 0.559, 0.628], [0.070, 0.441, 0.125], [0.930, 0.055, 0.372], [0.317, 0.945, 0.875], [0.317, 0.441, 0.372], [0.930, 0.559, 0.875], [0.070, 0.945, 0.628], [0.683, 0.055, 0.125], [0.955, 0.684, 0.639], [0.955, 0.316, 0.271], [0.045, 0.316, 0.361], [0.045, 0.684, 0.729], [0.565, 0.755, 0.488], [0.732, 0.245, 0.810], [0.268, 0.077, 0.512], [0.435, 0.923, 0.190], [0.435, 0.245, 0.512], [0.268, 0.755, 0.190], [0.732, 0.923, 0.488], [0.565, 0.077, 0.810]]
}

Arrangement B

{
  "formula": "K7NaTe4O32",
  "functional": "PBE-GGA",
  "state": "optimized geometry",
  "lattice_angstrom": [[9.047, -8.247, 0.058], [-7.886, -8.514, 3.896], [3.962, 6.981, -9.242]],
  "species": ["K", "K", "K", "K", "K", "K", "K", "Na", "Te", "Te", "Te", "Te", "O", "O", "O", "O", "O", "O", "O", "O", "O", "O", "O", "O", "O", "O", "O", "O", "O", "O", "O", "O", "O", "O", "O", "O", "O", "O", "O", "O", "O", "O", "O", "O"],
  "fractional_positions": [[0.297, 0.797, 0.500], [0.703, 0.203, 0.500], [0.125, 0.625, 0.500], [0.875, 0.375, 0.500], [0.265, 0.500, 0.765], [0.735, 0.500, 0.235], [0.500, 0.000, 0.500], [0.000, 0.000, 0.000], [0.307, 0.209, 0.099], [0.890, 0.791, 0.099], [0.110, 0.209, 0.901], [0.693, 0.791, 0.901], [0.284, 0.284, 0.000], [0.716, 0.716, 0.000], [0.132, 0.132, 0.000], [0.868, 0.868, 0.000], [0.472, 0.295, 0.177], [0.883, 0.705, 0.177], [0.117, 0.295, 0.823], [0.528, 0.705, 0.823], [0.297, 0.122, 0.175], [0.053, 0.878, 0.175], [0.947, 0.122, 0.825], [0.703, 0.878, 0.825], [0.312, 0.933, 0.825], [0.892, 0.067, 0.380], [0.108, 0.487, 0.175], [0.688, 0.513, 0.620], [0.688, 0.067, 0.175], [0.108, 0.933, 0.620], [0.892, 0.513, 0.825], [0.312, 0.487, 0.380], [0.100, 0.595, 0.695], [0.100, 0.405, 0.505], [0.900, 0.405, 0.305], [0.900, 0.595, 0.495], [0.444, 0.993, 0.264], [0.271, 0.007, 0.450], [0.729, 0.179, 0.736], [0.556, 0.821, 0.550], [0.556, 0.007, 0.736], [0.729, 0.993, 0.550], [0.271, 0.821, 0.264], [0.444, 0.179, 0.450]]
}

Relative energies, unit kJ/mol of atoms: arrangement A 3.6; arrangement B 0.0